NdRh2 after structural relaxation, computed with PBE-GGA. Values from VASP.

```
&SYSTEM
  ibrav = 0, nat = 6, ntyp = 2
/
ATOMIC_SPECIES
Rh 102.91 Rh.upf
Nd 144.24 Nd.upf
CELL_PARAMETERS angstrom
0.000 3.838 3.838
3.838 0.000 3.838
3.838 3.838 0.000
ATOMIC_POSITIONS crystal
Rh 0.125 0.125 0.125
Rh 0.125 0.125 0.625
Rh 0.125 0.625 0.125
Rh 0.625 0.125 0.125
Nd 0.500 0.500 0.500
Nd 0.750 0.750 0.750
```

Output
E_form, eV per atom: -0.65